Here is a relaxed Ac crystal from Materials Project. Energies are from meta-GGA r2SCAN.

Properties
Polymorph energy (0 for the lowest one) (meV per atom): 0

a b c (Å): 4.046 4.046 13.017
angles (deg): 90.00 90.00 120.00
Fractional positions:
Ac (0.000, 0.000, 0.000)
Ac (0.000, 0.000, 0.500)
Ac (0.333, 0.667, 0.250)
Ac (0.667, 0.333, 0.750)